1.
# GdCu2Si2

A relaxed structure of GdCu2Si2 (GGA-PBE, the Materials Project database).

Uncorrected energy (eV/atom): -7.2231
Calculated volume (Å³ per atom): 16.03
ΔE_f (kJ per mole of atoms): -55.0

Lattice parameters (Å, degrees): 5.7336 5.7336 5.7336 139.06 139.06 59.28
Closest atoms and distances in Å follow each position.
Atoms (fractional coordinates):
1 Gd 0.0000 0.0000 0.0000  8 Si 3.07, 8 Cu 3.20
2 Cu 0.2500 0.7500 0.5000  4 Si 2.40
3 Cu 0.7500 0.2500 0.5000  4 Si 2.40
4 Si 0.3815 0.3815 0.0000  1 Si 2.36, 4 Cu 2.40
5 Si 0.6185 0.6185 0.0000  1 Si 2.36, 4 Cu 2.40

---

2.
# CdP6Pb9O26

A relaxed structure of CdP6Pb9O26 (GGA-PBE, the Materials Project database).

Uncorrected energy (eV/atom): -6.4406
Calculated volume (Å³ per atom): 15.04
ΔE_f (kJ per mole of atoms): -213.4
Total moment (μB per cell): 2.002

Lattice parameters (Å, degrees): 7.4143 9.9098 9.9138 60.12 89.89 89.82
Closest atoms and distances in Å follow each position.
Atoms (fractional coordinates):
1 Cd 0.0000 0.0000 0.0000  6 O 2.37-2.43
2 P 0.2356 0.2908 0.6437  4 O 1.55-1.57
3 P 0.2362 0.6468 0.0681  4 O 1.55-1.57
4 P 0.2372 0.0692 0.2870  4 O 1.56-1.57
5 P 0.7524 0.7009 0.2623  4 O 1.55-1.57
6 P 0.7526 0.0415 0.6980  4 O 1.55-1.57
7 P 0.7528 0.2628 0.0367  4 O 1.55-1.57
8 Pb 0.2255 0.6607 0.4359  3 O 2.24-2.48
9 Pb 0.2304 0.4370 0.9018  4 O 2.36-2.53
10 Pb 0.2336 0.9038 0.6624  5 O 2.44-2.71
11 Pb 0.4904 0.9989 0.0027  9 O 2.62-2.83
12 Pb 0.4928 0.3323 0.3326  6 O 2.57-2.71
13 Pb 0.7323 0.4273 0.6757  2 O 2.23-2.49
14 Pb 0.7358 0.8978 0.4330  4 O 2.41-2.60
15 Pb 0.7369 0.6709 0.9006  6 O 2.44-2.70
16 Pb 0.9874 0.3317 0.3343  6 O 2.56-2.71
17 O 0.0705 0.4056 0.5802  1 P 1.57
18 O 0.0729 0.5845 0.0157  1 P 1.56
19 O 0.0738 0.0197 0.4017  1 P 1.56
20 O 0.1818 0.6625 0.6584  3 Pb 2.24-2.44
21 O 0.2226 0.1790 0.8221  1 P 1.55
22 O 0.2244 0.0009 0.1760  1 P 1.56
23 O 0.2235 0.8250 0.0024  1 P 1.55
24 O 0.2400 0.5571 0.2511  1 P 1.57
25 O 0.2410 0.2517 0.1925  1 P 1.57
26 O 0.2418 0.1999 0.5528  1 P 1.56
27 O 0.4074 0.3962 0.5996  1 P 1.57
28 O 0.4091 0.6017 0.0094  1 P 1.56
29 O 0.4109 0.0124 0.3891  1 P 1.56
30 O 0.5770 0.3014 0.9360  1 P 1.57
31 O 0.5774 0.7639 0.3010  1 P 1.57
32 O 0.5783 0.9407 0.7594  1 P 1.56
33 O 0.6823 0.6539 0.6670  3 Pb 2.23-2.44
34 O 0.7391 0.3220 0.1544  1 P 1.55
35 O 0.7388 0.5239 0.3222  1 P 1.55
36 O 0.7398 0.1603 0.5216  1 P 1.55
37 O 0.7809 0.1295 0.7916  1 P 1.57
38 O 0.7823 0.7946 0.0820  1 P 1.57
39 O 0.7852 0.0836 0.1210  1 P 1.56
40 O 0.9087 0.3489 0.9172  1 P 1.57
41 O 0.9108 0.7355 0.3445  1 P 1.56
42 O 0.9118 0.9250 0.7340  1 P 1.56

---

3.
# LiCa3As2H

A relaxed structure of LiCa3As2H (GGA-PBE, the Materials Project database).

Uncorrected energy (eV/atom): -3.9674
Calculated volume (Å³ per atom): 20.86
ΔE_f (kJ per mole of atoms): -100.8
Total moment (μB per cell): 0.000

Lattice parameters (Å, degrees): 11.4806 4.2834 11.8783 90.00 90.00 90.00
Closest atoms and distances in Å follow each position.
Atoms (fractional coordinates):
1 Li 0.1320 0.2500 0.1386  1 H 2.06
2 Li 0.3680 0.7500 0.6386  1 H 2.06
3 Li 0.6320 0.2500 0.3614  1 H 2.06
4 Li 0.8680 0.7500 0.8614  1 H 2.06
5 Ca 0.0601 0.2500 0.3784  1 H 2.34
6 Ca 0.1353 0.7500 0.9389  1 H 2.40
7 Ca 0.2096 0.2500 0.7040  2 H 2.41
8 Ca 0.2904 0.7500 0.2040  2 H 2.41
9 Ca 0.3647 0.2500 0.4389  1 H 2.40
10 Ca 0.4399 0.7500 0.8784  1 H 2.34
11 Ca 0.5601 0.2500 0.1216  1 H 2.34
12 Ca 0.6353 0.7500 0.5611  1 H 2.40
13 Ca 0.7096 0.2500 0.7960  2 H 2.41
14 Ca 0.7904 0.7500 0.2960  2 H 2.41
15 Ca 0.8647 0.2500 0.0611  1 H 2.40
16 Ca 0.9399 0.7500 0.6216  1 H 2.34
17 As 0.0185 0.7500 0.1756  2 Li 2.55
18 As 0.1839 0.7500 0.5140  1 Li 2.58
19 As 0.3161 0.2500 0.0140  1 Li 2.58
20 As 0.4815 0.2500 0.6756  2 Li 2.55
21 As 0.5185 0.7500 0.3244  2 Li 2.55
22 As 0.6839 0.7500 0.9860  1 Li 2.58
23 As 0.8161 0.2500 0.4860  1 Li 2.58
24 As 0.9815 0.2500 0.8244  2 Li 2.55
25 H 0.2362 0.2500 0.2798  1 Li 2.06
26 H 0.2638 0.7500 0.7798  1 Li 2.06
27 H 0.7362 0.2500 0.2202  1 Li 2.06
28 H 0.7638 0.7500 0.7202  1 Li 2.06

---

4.
# LiAg2C2N2O2

A relaxed structure of LiAg2C2N2O2 (GGA-PBE, the Materials Project database).

Uncorrected energy (eV/atom): -6.1101
Calculated volume (Å³ per atom): 17.21
ΔE_f (kJ per mole of atoms): -40.4
Total moment (μB per cell): 0.000

Lattice parameters (Å, degrees): 3.2556 8.7461 5.5467 90.00 101.25 90.00
Closest atoms and distances in Å follow each position.
Atoms (fractional coordinates):
1 Li 0.0000 0.0000 0.0000  1 O 1.90, 2 N 1.99-2.02
2 Ag 0.5011 0.2998 0.8590  1 N 2.25
3 Ag 0.5011 0.7002 0.8590  1 N 2.25
4 C 0.3005 0.0000 0.5653  1 O 1.20, 1 N 1.22
5 C 0.8353 0.5000 0.3292  1 N 1.21, 1 O 1.22
6 N 0.4349 0.0000 0.7857  1 C 1.22
7 N 0.6916 0.5000 0.1117  1 C 1.21
8 O 0.1633 0.0000 0.3480  1 C 1.20
9 O 0.9789 0.5000 0.5485  1 C 1.22

---

Q: Which of these has the lowest uncorrected energy?
A: GdCu2Si2

---

Q: Which value of uncorrected energy does entry 2 give?
A: -6.4406 eV/atom

---

What did the fourth record say?
# LiAg2C2N2O2

A relaxed structure of LiAg2C2N2O2 (GGA-PBE, the Materials Project database).

Uncorrected energy (eV/atom): -6.1101
Calculated volume (Å³ per atom): 17.21
ΔE_f (kJ per mole of atoms): -40.4
Total moment (μB per cell): 0.000

Lattice parameters (Å, degrees): 3.2556 8.7461 5.5467 90.00 101.25 90.00
Closest atoms and distances in Å follow each position.
Atoms (fractional coordinates):
1 Li 0.0000 0.0000 0.0000  1 O 1.90, 2 N 1.99-2.02
2 Ag 0.5011 0.2998 0.8590  1 N 2.25
3 Ag 0.5011 0.7002 0.8590  1 N 2.25
4 C 0.3005 0.0000 0.5653  1 O 1.20, 1 N 1.22
5 C 0.8353 0.5000 0.3292  1 N 1.21, 1 O 1.22
6 N 0.4349 0.0000 0.7857  1 C 1.22
7 N 0.6916 0.5000 0.1117  1 C 1.21
8 O 0.1633 0.0000 0.3480  1 C 1.20
9 O 0.9789 0.5000 0.5485  1 C 1.22

---

Q: What is the formula in the third record?
A: LiCa3As2H